1.
The following is a DFT calculation (PBE) of Na14Ca2Hf6Si9S3O48 after structural relaxation.

a = 9.2875 Å, b = 16.0365 Å, c = 22.8348 Å
α = 89.92°, β = 89.97°, γ = 89.97°
Closest atoms and distances in Å follow each position.
Space group P1 (No. 1)
One atom of each set of equivalent atoms:
Na: 0.0000 0.0000 0.0000 x1  5 O 2.46-2.76
Na: 0.0031 0.3247 0.6811 x1  3 O 2.34-2.55
Na: 0.0062 0.9690 0.6675 x1  4 O 2.47-2.69
Na: 0.0221 0.6293 0.0057 x1  4 O 2.41-2.64
Na: 0.1231 0.1294 0.5119 x1  3 O 2.34-2.50
Na: 0.1385 0.4706 0.1644 x1  5 O 2.50-2.73
Na: 0.1398 0.8230 0.1761 x1  6 O 2.49-2.78
Na: 0.1428 0.5021 0.5038 x1  5 O 2.46-2.69
Na: 0.1744 0.8059 0.5106 x1  4 O 2.40-2.66
Na: 0.1846 0.4802 0.8395 x1  4 O 2.45-2.63
Na: 0.1944 0.1465 0.1679 x1  4 O 2.34-2.62
Na: 0.3124 0.3047 0.7607 x1  5 O 2.49-2.78
Na: 0.3143 0.9818 0.5929 x1  6 O 2.57-2.87
Na: 0.3151 0.6392 0.4220 x1  5 O 2.45-2.71
Na: 0.3156 0.6487 0.9238 x1  6 O 2.48-2.74
Na: 0.3297 0.9861 0.0821 x1  4 O 2.44-2.61
Na: 0.3313 0.3202 0.2502 x1  5 O 2.46-2.72
Na: 0.4505 0.8035 0.9980 x1  4 O 2.39-2.66
Na: 0.4597 0.1390 0.6697 x1  5 O 2.46-2.72
Na: 0.4956 0.5074 0.0035 x1  5 O 2.39-2.64
Na: 0.5020 0.8230 0.6745 x1  5 O 2.45-2.73
Na: 0.5080 0.7973 0.3348 x1  4 O 2.41-2.60
Na: 0.5116 0.1620 0.3402 x1  5 O 2.47-2.70
Na: 0.5134 0.1236 0.0078 x1  5 O 2.46-2.60
Na: 0.5190 0.4732 0.6751 x1  4 O 2.46-2.67
Na: 0.6277 0.9724 0.1689 x1  7 O 2.55-2.80
Na: 0.6334 0.6241 0.5119 x1  5 O 2.37-2.64
Na: 0.6390 0.3006 0.8350 x1  4 O 2.45-2.64
Na: 0.6441 0.3262 0.1700 x1  4 O 2.46-2.73
Na: 0.6474 0.6603 0.8342 x1  7 O 2.57-2.87
Na: 0.6538 0.0074 0.5081 x1  4 O 2.41-2.68
Na: 0.6859 0.6387 0.1662 x1  6 O 2.47-2.74
Na: 0.6980 0.3051 0.5017 x1  3 O 2.40-2.57
Na: 0.8149 0.4884 0.5873 x1  3 O 2.39-2.55
Na: 0.8205 0.8098 0.7568 x1  6 O 2.49-2.71
Na: 0.8230 0.1497 0.4282 x1  3 O 2.40-2.43
Na: 0.8300 0.1395 0.9211 x1  6 O 2.49-2.77
Na: 0.8309 0.4833 0.0856 x1  6 O 2.52-2.82
Na: 0.8338 0.8014 0.2590 x1  4 O 2.46-2.73
Na: 0.9469 0.6437 0.6800 x1  4 O 2.34-2.62
Na: 0.9545 0.9727 0.3388 x1  5 O 2.45-2.68
Na: 0.9657 0.3077 0.0052 x1  4 O 2.43-2.66
Ca: 0.3175 0.6403 0.0677 x1  6 O 2.23-2.33
Ca: 0.3202 0.6490 0.5715 x1  5 O 2.15-2.36
Ca: 0.3285 0.9773 0.2418 x1  5 O 2.15-2.35
Ca: 0.8191 0.4818 0.7443 x1  4 O 2.17-2.29
Ca: 0.8232 0.1486 0.0697 x1  6 O 2.18-2.38
Ca: 0.8275 0.1408 0.5691 x1  6 O 2.22-2.38
Hf: 0.3098 0.3084 0.8979 x1  5 O 1.96-2.10
Hf: 0.3106 0.3114 0.1078 x1  5 O 2.01-2.12
Hf: 0.3154 0.3083 0.6000 x1  4 O 1.96-2.10
Hf: 0.3159 0.6404 0.2739 x1  5 O 2.01-2.16
Hf: 0.3257 0.9773 0.4371 x1  6 O 2.01-2.19
Hf: 0.3282 0.3165 0.4034 x1  4 O 1.92-2.11
Hf: 0.3289 0.6555 0.7766 x1  5 O 1.98-2.11
Hf: 0.3335 0.9802 0.7375 x1  5 O 1.99-2.11
Hf: 0.3368 0.9785 0.9402 x1  5 O 2.00-2.13
Hf: 0.8085 0.4784 0.4406 x1  5 O 2.01-2.11
Hf: 0.8085 0.1548 0.2723 x1  4 O 1.96-2.11
Hf: 0.8116 0.4802 0.2369 x1  5 O 2.00-2.09
Hf: 0.8209 0.8111 0.9017 x1  5 O 1.98-2.12
Hf: 0.8296 0.1405 0.7739 x1  5 O 2.02-2.15
Hf: 0.8299 0.4835 0.9329 x1  5 O 1.96-2.14
Hf: 0.8298 0.8077 0.0989 x1  4 O 1.95-2.13
Hf: 0.8350 0.8073 0.3980 x1  5 O 1.94-2.09
Hf: 0.8363 0.8100 0.6098 x1  5 O 2.00-2.10
Si: 0.0210 0.6478 0.1710 x1  4 O 1.61-1.69
Si: 0.0300 0.3163 0.4998 x1  4 O 1.61-1.69
Si: 0.1169 0.8171 0.0011 x1  4 O 1.61-1.70
Si: 0.1241 0.1474 0.6702 x1  4 O 1.61-1.69
Si: 0.1698 0.4552 0.0011 x1  4 O 1.61-1.67
Si: 0.1775 0.7967 0.6699 x1  4 O 1.61-1.67
Si: 0.1769 0.8273 0.3346 x1  4 O 1.61-1.68
Si: 0.1812 0.1635 0.0041 x1  4 O 1.62-1.67
Si: 0.4646 0.1634 0.4998 x1  4 O 1.60-1.67
Si: 0.4701 0.4586 0.5051 x1  4 O 1.61-1.66
Si: 0.4717 0.4974 0.1689 x1  4 O 1.60-1.66
Si: 0.4755 0.1262 0.8371 x1  4 O 1.64-1.65
Si: 0.4753 0.8340 0.8380 x1  4 O 1.63-1.66
Si: 0.5186 0.1453 0.1673 x1  4 O 1.60-1.71
Si: 0.5217 0.4775 0.8363 x1  4 O 1.61-1.67
Si: 0.6226 0.6442 0.6668 x1  4 O 1.62-1.68
Si: 0.6269 0.9789 0.3362 x1  4 O 1.61-1.68
Si: 0.6702 0.3327 0.3376 x1  4 O 1.62-1.67
Si: 0.6697 0.6257 0.3372 x1  4 O 1.63-1.65
Si: 0.6733 0.9972 0.6682 x1  4 O 1.61-1.66
Si: 0.6769 0.9572 0.0039 x1  4 O 1.62-1.68
Si: 0.6796 0.6619 0.0007 x1  4 O 1.60-1.69
Si: 0.9646 0.6635 0.5036 x1  4 O 1.62-1.66
Si: 0.9677 0.3269 0.8348 x1  4 O 1.61-1.67
Si: 0.9702 0.2961 0.1708 x1  4 O 1.61-1.67
Si: 0.9732 0.9552 0.5003 x1  4 O 1.62-1.68
Si: 0.9773 0.6336 0.8344 x1  4 O 1.61-1.69
S: 0.0322 0.9793 0.8372 x1  4 O 1.47-1.51
S: 0.1143 0.4781 0.3371 x1  4 O 1.48-1.50
S: 0.1724 0.1286 0.3368 x1  4 O 1.44-1.52
S: 0.1778 0.4934 0.6695 x1  4 O 1.47-1.52
S: 0.4741 0.7919 0.1702 x1  4 O 1.46-1.51
S: 0.5339 0.8159 0.5009 x1  4 O 1.47-1.52
S: 0.6100 0.3157 0.0023 x1  4 O 1.48-1.50
S: 0.6712 0.2922 0.6694 x1  4 O 1.46-1.52
S: 0.9674 0.9954 0.1716 x1  4 O 1.47-1.51
O: 0.0013 0.8065 0.9486 x1  1 Si 1.62
O: 0.0026 0.8180 0.3451 x1  1 Si 1.64
O: 0.0051 0.1637 0.7231 x1  1 Si 1.66
O: 0.0073 0.1555 0.0032 x1  1 Si 1.62
O: 0.0115 0.1315 0.3340 x1  1 S 1.50
O: 0.0161 0.8297 0.0625 x1  1 Si 1.70
O: 0.0209 0.4788 0.6741 x1  1 S 1.48
O: 0.0248 0.4687 0.2840 x1  1 S 1.48
O: 0.0246 0.4886 0.3902 x1  1 S 1.48
O: 0.0445 0.1275 0.6092 x1  1 Si 1.61
O: 0.1022 0.6274 0.1107 x1  1 Si 1.61
O: 0.1223 0.9707 0.7839 x1  1 S 1.48
O: 0.1226 0.9905 0.8902 x1  1 S 1.48
O: 0.1242 0.9826 0.1763 x1  1 S 1.47
O: 0.1327 0.3287 0.5600 x1  1 Si 1.69
O: 0.1386 0.6554 0.5026 x1  1 Si 1.62
O: 0.1391 0.6642 0.2246 x1  1 Si 1.66
O: 0.1423 0.3179 0.8451 x1  1 Si 1.65
O: 0.1441 0.3054 0.4459 x1  1 Si 1.63
O: 0.1493 0.3003 0.1675 x1  1 Si 1.67
O: 0.1528 0.9608 0.4940 x1  1 Si 1.68
O: 0.1540 0.6314 0.8306 x1  1 Si 1.64
O: 0.1838 0.8815 0.2753 x1  1 Si 1.61
O: 0.2022 0.5415 0.6158 x1  1 S 1.47
O: 0.2059 0.0730 0.3891 x1  1 S 1.52
O: 0.2063 0.3988 0.0611 x1  1 Si 1.67
O: 0.2075 0.5542 0.3321 x1  1 S 1.50
O: 0.2083 0.9050 0.9963 x1  1 Si 1.65
O: 0.2095 0.4033 0.3412 x1  1 S 1.49
O: 0.2125 0.7283 0.7217 x1  1 Si 1.64
O: 0.2202 0.7370 0.0042 x1  1 Si 1.61
O: 0.2268 0.2343 0.6671 x1  1 Si 1.69
O: 0.2284 0.0660 0.6821 x1  1 Si 1.65
O: 0.2281 0.2246 0.9509 x1  1 Si 1.62
O: 0.2339 0.8921 0.6836 x1  1 Si 1.65
O: 0.2349 0.0951 0.2843 x1  1 S 1.44
O: 0.2353 0.2129 0.3455 x1  1 S 1.49
O: 0.2390 0.5356 0.7220 x1  1 S 1.49
O: 0.2394 0.5472 0.0006 x1  1 Si 1.61
O: 0.2402 0.4050 0.9463 x1  1 Si 1.63
O: 0.2495 0.7712 0.6081 x1  1 Si 1.61
O: 0.2496 0.2069 0.0645 x1  1 Si 1.67
O: 0.2541 0.4094 0.6663 x1  1 S 1.52
O: 0.2543 0.8801 0.3898 x1  1 Si 1.68
O: 0.2585 0.0715 0.9984 x1  1 Si 1.65
O: 0.2623 0.7376 0.3315 x1  1 Si 1.64
O: 0.3840 0.0712 0.4955 x1  1 Si 1.66
O: 0.3894 0.5474 0.2232 x1  1 Si 1.66
O: 0.3913 0.2093 0.5584 x1  1 Si 1.67
O: 0.3948 0.4048 0.1640 x1  1 Si 1.65
O: 0.3990 0.5499 0.5024 x1  1 Si 1.61
O: 0.4020 0.0824 0.7797 x1  1 Si 1.64
O: 0.4032 0.4068 0.4493 x1  1 Si 1.64
O: 0.4028 0.8779 0.8958 x1  1 Si 1.64
O: 0.4061 0.0679 0.1738 x1  1 Si 1.63
O: 0.4060 0.7391 0.8323 x1  1 Si 1.66
O: 0.4090 0.8761 0.1748 x1  1 S 1.48
O: 0.4141 0.2222 0.8433 x1  1 Si 1.65
O: 0.4171 0.3970 0.8491 x1  1 Si 1.64
O: 0.4172 0.7535 0.1170 x1  1 S 1.46
O: 0.4225 0.2207 0.4423 x1  1 Si 1.65
O: 0.4231 0.5626 0.8299 x1  1 Si 1.65
O: 0.4307 0.2352 0.1659 x1  1 Si 1.66
O: 0.4330 0.8886 0.7803 x1  1 Si 1.63
O: 0.4385 0.3997 0.5636 x1  1 Si 1.66
O: 0.4388 0.0686 0.8950 x1  1 Si 1.65
O: 0.4386 0.7432 0.5033 x1  1 S 1.47
O: 0.4419 0.7397 0.2234 x1  1 S 1.51
O: 0.4430 0.8944 0.4963 x1  1 S 1.52
O: 0.4716 0.5522 0.1103 x1  1 Si 1.60
O: 0.4939 0.3156 0.3398 x1  1 Si 1.66
O: 0.4941 0.6370 0.3282 x1  1 Si 1.65
O: 0.4977 0.9621 0.0000 x1  1 Si 1.67
O: 0.4989 0.9821 0.6806 x1  1 Si 1.66
O: 0.5071 0.6565 0.0022 x1  1 Si 1.60
O: 0.5086 0.2994 0.6670 x1  1 S 1.52
O: 0.5114 0.6558 0.7243 x1  1 Si 1.68
O: 0.5115 0.9971 0.3914 x1  1 Si 1.68
O: 0.5181 0.3066 0.9497 x1  1 S 1.48
O: 0.5193 0.3239 0.0562 x1  1 S 1.50
O: 0.5320 0.6301 0.6073 x1  1 Si 1.62
O: 0.5416 0.9595 0.2766 x1  1 Si 1.61
O: 0.6043 0.4521 0.7768 x1  1 Si 1.61
O: 0.6148 0.1259 0.1106 x1  1 Si 1.60
O: 0.6224 0.8273 0.5547 x1  1 S 1.49
O: 0.6251 0.8076 0.4483 x1  1 S 1.48
O: 0.6302 0.1571 0.2261 x1  1 Si 1.71
O: 0.6360 0.4939 0.8917 x1  1 Si 1.67
O: 0.6360 0.7995 0.1682 x1  1 S 1.51
O: 0.6368 0.1574 0.5006 x1  1 Si 1.60
O: 0.6461 0.4814 0.1810 x1  1 Si 1.66
O: 0.6484 0.4625 0.5002 x1  1 Si 1.66
O: 0.6501 0.8208 0.8408 x1  1 Si 1.64
O: 0.6511 0.1363 0.8277 x1  1 Si 1.65
O: 0.6730 0.0510 0.6086 x1  1 Si 1.61
O: 0.6998 0.3928 0.9990 x1  1 S 1.49
O: 0.7023 0.2392 0.7221 x1  1 S 1.50
O: 0.7034 0.2412 0.0047 x1  1 S 1.48
O: 0.7068 0.5679 0.3949 x1  1 Si 1.65
O: 0.7071 0.9004 0.0647 x1  1 Si 1.68
O: 0.7099 0.3878 0.2802 x1  1 Si 1.62
O: 0.7152 0.7338 0.6644 x1  1 Si 1.68
O: 0.7203 0.7213 0.9449 x1  1 Si 1.64
O: 0.7271 0.2541 0.6159 x1  1 S 1.46
O: 0.7267 0.8965 0.3478 x1  1 Si 1.63
O: 0.7312 0.7219 0.3432 x1  1 Si 1.65
O: 0.7316 0.5643 0.6705 x1  1 Si 1.63
O: 0.7330 0.0625 0.3308 x1  1 Si 1.67
O: 0.7359 0.3763 0.6742 x1  1 S 1.48
O: 0.7389 0.3765 0.3960 x1  1 Si 1.64
O: 0.7423 0.2375 0.3315 x1  1 Si 1.67
O: 0.7433 0.5817 0.2801 x1  1 Si 1.63
O: 0.7454 0.0498 0.0031 x1  1 Si 1.62
O: 0.7463 0.9062 0.9495 x1  1 Si 1.62
O: 0.7505 0.9049 0.6626 x1  1 Si 1.65
O: 0.7535 0.7081 0.0600 x1  1 Si 1.69
O: 0.7565 0.0480 0.7216 x1  1 Si 1.66
O: 0.7586 0.5693 0.9979 x1  1 Si 1.66
O: 0.8841 0.2361 0.8311 x1  1 Si 1.65
O: 0.8885 0.5710 0.4972 x1  1 Si 1.65
O: 0.8911 0.3770 0.8908 x1  1 Si 1.67
O: 0.8916 0.9121 0.1688 x1  1 S 1.51
O: 0.8940 0.2679 0.1108 x1  1 Si 1.61
O: 0.8946 0.7080 0.5627 x1  1 Si 1.66
O: 0.9007 0.5999 0.7760 x1  1 Si 1.61
O: 0.9034 0.7247 0.8451 x1  1 Si 1.63
O: 0.9034 0.9064 0.4446 x1  1 Si 1.63
O: 0.9048 0.0478 0.4998 x1  1 Si 1.62
O: 0.9073 0.0388 0.2246 x1  1 S 1.50
O: 0.9130 0.3908 0.1852 x1  1 Si 1.64
O: 0.9171 0.5662 0.1834 x1  1 Si 1.65
O: 0.9183 0.7348 0.1680 x1  1 Si 1.69
O: 0.9189 0.7241 0.4498 x1  1 Si 1.62
O: 0.9271 0.2360 0.5029 x1  1 Si 1.61
O: 0.9371 0.2271 0.2238 x1  1 Si 1.67
O: 0.9382 0.4037 0.4948 x1  1 Si 1.64
O: 0.9379 0.9056 0.8414 x1  1 S 1.47
O: 0.9401 0.0562 0.8318 x1  1 S 1.51
O: 0.9406 0.8980 0.5595 x1  1 Si 1.66
O: 0.9418 0.0445 0.1182 x1  1 S 1.47
O: 0.9422 0.5680 0.8908 x1  1 Si 1.69
O: 0.9585 0.3786 0.7744 x1  1 Si 1.61
O: 0.9906 0.4581 0.9974 x1  1 Si 1.67
O: 0.9980 0.8015 0.6671 x1  1 Si 1.67

Calculated values
As for the formation energy: -242.9 eV per formula unit. As for the total energy: -1772.76 eV per cell. As for the spin magnetization: 0.00 μB per formula unit.


2.
The following is a DFT calculation (PBE) of CaHfO3 after structural relaxation.

a = 4.1051 Å, b = 4.1051 Å, c = 4.1051 Å
α = 90.00°, β = 90.00°, γ = 90.00°
Closest atoms and distances in Å follow each position.
Space group Pm-3m (No. 221)
One atom of each set of equivalent atoms:
Ca: 0.0000 0.0000 0.0000 x1  12 O 2.90
Hf: 0.5000 0.5000 0.5000 x1  6 O 2.05
O: 0.0000 0.5000 0.5000 x3  2 Hf 2.05

Calculated values
As for the formation energy: -18.3 eV per formula unit. As for the total energy: -43.08 eV per cell.


3.
The following is a DFT calculation (PBE) of Ca2HfO4 after structural relaxation.

a = 5.7489 Å, b = 9.9252 Å, c = 3.2794 Å
α = 90.00°, β = 90.00°, γ = 90.00°
Closest atoms and distances in Å follow each position.
Space group Pbam (No. 55)
One atom of each set of equivalent atoms:
Ca: 0.0664 0.1811 0.0000 x4  6 O 2.36-2.55
Hf: 0.0000 0.5000 0.5000 x2  6 O 2.07-2.14
O: 0.1388 0.6923 0.5000 x4  1 Hf 2.07
O: 0.2257 0.4546 0.0000 x4  2 Hf 2.14, 1 Ca 2.38

Calculated values
As for the formation energy: -25.7 eV per formula unit. As for the total energy: -113.40 eV per cell.


4.
The following is a DFT calculation (PBE) of Ca2HfO4 after structural relaxation.

a = 5.6934 Å, b = 5.7634 Å, c = 12.0254 Å
α = 90.00°, β = 90.00°, γ = 90.00°
Closest atoms and distances in Å follow each position.
Space group Pbca (No. 61)
One atom of each set of equivalent atoms:
Ca: 0.0180 0.0483 0.1541 x8  4 O 2.28-2.42
Hf: 0.0000 0.0000 0.5000 x4  6 O 2.09-2.11
O: 0.0846 0.0386 0.6678 x8  1 Hf 2.09, 2 Ca 2.28-2.32
O: 0.1925 0.1935 0.9712 x8  2 Hf 2.10-2.11

Calculated values
As for the formation energy: -25.5 eV per formula unit. As for the total energy: -226.21 eV per cell. As for the spin magnetization: 0.00 μB per formula unit.


5.
The following is a DFT calculation (PBE) of Ca2Hf7O16 after structural relaxation.

a = 6.3573 Å, b = 6.3573 Å, c = 26.4994 Å
α = 90.00°, β = 90.00°, γ = 120.00°
Closest atoms and distances in Å follow each position.
Space group R-3 (No. 148, hexagonal axes)
One atom of each set of equivalent atoms:
Ca: 0.0000 0.0000 0.1670 x6  8 O 2.46-2.58
Hf: 0.0000 0.0000 0.5000 x3  6 O 2.10
Hf: 0.0011 0.6286 0.3858 x18  5 O 2.03-2.21
O: 0.0000 0.0000 0.0740 x6  3 Hf 2.09
O: 0.0000 0.0000 0.2626 x6  3 Hf 2.06
O: 0.0095 0.7217 0.4593 x18  2 Hf 2.03-2.10
O: 0.0142 0.7253 0.6362 x18  4 Hf 2.15-2.28

Calculated values
As for the formation energy: -98.5 eV per formula unit. As for the total energy: -721.05 eV per cell.